*P*
Here is a relaxed structure of Li9Co7O16 from the Materials Project. Energies are from GGA+U.

a = 4.9985 Å, b = 5.7784 Å, c = 10.1488 Å
α = 106.08°, β = 99.37°, γ = 90.47°
Last column: nearest neighbours and their distance in Å.
Sites, in units of the cell vectors:
Li 0.0000 0.0000 0.0000  6 O 2.04-2.11
Li 0.2454 0.8758 0.7504  6 O 2.03-2.25
Li 0.2462 0.3713 0.2509  6 O 2.07-2.22
Li 0.2473 0.3736 0.7489  6 O 2.07-2.19
Li 0.2475 0.8784 0.2495  6 O 2.00-2.20
Li 0.7525 0.1216 0.7505  6 O 2.00-2.20
Li 0.7527 0.6264 0.2511  6 O 2.07-2.19
Li 0.7538 0.6287 0.7491  6 O 2.07-2.22
Li 0.7546 0.1242 0.2496  6 O 2.03-2.25
Co 0.0000 0.0000 0.5000  6 O 2.00-2.05
Co 0.0000 0.5000 0.0000  6 O 1.88-1.94
Co 0.0000 0.5000 0.5000  6 O 1.91-2.11
Co 0.4948 0.7555 0.0005  6 O 1.88-2.03
Co 0.4966 0.2482 0.4983  6 O 2.02-2.04
Co 0.5034 0.7518 0.5017  6 O 2.02-2.04
Co 0.5052 0.2445 0.9995  6 O 1.88-2.03
O 0.1223 0.6783 0.3864  3 Co 1.91-2.05, 2 Li 2.08-2.09
O 0.1241 0.1758 0.3751  3 Co 2.00-2.11, 3 Li 2.00-2.07
O 0.1371 0.2186 0.8958  2 Co 1.88-1.95, 2 Li 2.04-2.08
O 0.1441 0.6788 0.8924  2 Co 1.89-1.91, 2 Li 2.08
O 0.3623 0.5563 0.6161  3 Co 1.96-2.04, 3 Li 2.07-2.15
O 0.3631 0.5548 0.1079  3 Co 1.94-2.03, 2 Li 2.17
O 0.3716 0.0600 0.6202  3 Co 2.02-2.04, 3 Li 2.08-2.10
O 0.4008 0.0525 0.1109  2 Co 1.88-1.91, 2 Li 2.03-2.11
O 0.5992 0.9475 0.8891  2 Co 1.88-1.91, 2 Li 2.03-2.11
O 0.6284 0.9400 0.3798  3 Co 2.02-2.04, 3 Li 2.08-2.10
O 0.6369 0.4452 0.8921  3 Co 1.94-2.03, 2 Li 2.17
O 0.6377 0.4437 0.3839  3 Co 1.96-2.04, 3 Li 2.07-2.15
O 0.8559 0.3212 0.1076  2 Co 1.89-1.91, 2 Li 2.08
O 0.8629 0.7814 0.1042  2 Co 1.88-1.95, 2 Li 2.04-2.08
O 0.8759 0.8242 0.6249  3 Co 2.00-2.11, 3 Li 2.00-2.07
O 0.8777 0.3217 0.6136  3 Co 1.91-2.05, 2 Li 2.08-2.09

Calculated values
SG: No. 2
Crystal system: triclinic



*Q*
Here is a relaxed structure of Li9Co7O16 from the Materials Project. Energies are from GGA+U.

a = 10.6795 Å, b = 10.6795 Å, c = 10.0154 Å
α = 114.15°, β = 114.15°, γ = 15.65°
Last column: nearest neighbours and their distance in Å.
Sites, in units of the cell vectors:
Li 0.0000 0.0000 0.0000  6 O 2.09-2.11
Li 0.1245 0.1245 0.4379  6 O 2.00-2.20
Li 0.1244 0.1244 0.9364  6 O 2.05-2.18
Li 0.3745 0.3745 0.3113  6 O 2.05-2.15
Li 0.3785 0.3785 0.8194  6 O 2.13-2.24
Li 0.6215 0.6215 0.1806  6 O 2.13-2.24
Li 0.6255 0.6255 0.6887  6 O 2.05-2.15
Li 0.8756 0.8756 0.0636  6 O 2.05-2.18
Li 0.8755 0.8755 0.5621  6 O 2.00-2.20
Co 0.0000 0.0000 0.5000  6 O 1.89-1.95
Co 0.2505 0.2505 0.3758  6 O 1.91-2.01
Co 0.2500 0.2500 0.8752  6 O 2.02-2.06
Co 0.4986 0.4986 0.2396  3 O 1.77-1.97
Co 0.5014 0.5014 0.7604  3 O 1.77-1.97
Co 0.7500 0.7500 0.1248  6 O 2.02-2.06
Co 0.7495 0.7495 0.6242  6 O 1.91-2.01
O 0.0543 0.0543 0.7047  3 Co 1.89-2.05
O 0.0584 0.0584 0.2264  2 Co 1.97, 4 Li 2.00-2.15
O 0.1925 0.1925 0.6553  3 Co 1.99-2.03, 3 Li 2.06-2.15
O 0.1926 0.1926 0.1686  3 Co 1.93-2.06, 2 Li 2.13
O 0.3044 0.3044 0.5823  3 Co 1.91-2.01
O 0.3093 0.3093 0.0928  3 Co 2.02-2.03, 3 Li 2.05-2.12
O 0.4410 0.4410 0.0511  1 Co 1.77
O 0.4479 0.4479 0.5362  3 Co 1.95-2.06, 1 Li 2.14
O 0.5521 0.5521 0.4638  3 Co 1.95-2.06, 1 Li 2.14
O 0.5590 0.5590 0.9489  1 Co 1.77
O 0.6907 0.6907 0.9072  3 Co 2.02-2.03, 3 Li 2.05-2.12
O 0.6956 0.6956 0.4177  3 Co 1.91-2.01
O 0.8074 0.8074 0.8314  3 Co 1.93-2.06, 2 Li 2.13
O 0.8075 0.8075 0.3447  3 Co 1.99-2.03, 3 Li 2.06-2.15
O 0.9416 0.9416 0.7736  2 Co 1.97, 4 Li 2.00-2.15
O 0.9457 0.9457 0.2953  3 Co 1.89-2.05

Calculated values
SG: No. 12
Crystal system: monoclinic



*R*
Here is a relaxed structure of Li9Co7O16 from the Materials Project. Energies are from GGA+U.

a = 10.2999 Å, b = 10.2999 Å, c = 9.8568 Å
α = 106.79°, β = 106.79°, γ = 16.35°
Last column: nearest neighbours and their distance in Å.
Sites, in units of the cell vectors:
Li 0.0000 0.0000 0.0000  6 O 2.03-2.11
Li 0.0619 0.0619 0.3077  6 O 2.04-2.17
Li 0.1874 0.1874 0.9417  6 O 2.02-2.15
Li 0.3121 0.3121 0.5604  6 O 2.10-2.23
Li 0.4412 0.4412 0.1804  6 O 2.08-2.21
Li 0.5588 0.5588 0.8196  6 O 2.08-2.21
Li 0.6879 0.6879 0.4396  6 O 2.10-2.23
Li 0.8126 0.8126 0.0583  6 O 2.02-2.15
Li 0.9381 0.9381 0.6923  6 O 2.04-2.17
Co 0.1243 0.1243 0.6252  6 O 1.94-2.07
Co 0.2509 0.2509 0.2454  6 O 1.92-2.09
Co 0.3785 0.3785 0.8758  6 O 1.80-1.99
Co 0.5000 0.5000 0.5000  6 O 1.91-2.06
Co 0.6215 0.6215 0.1242  6 O 1.80-1.99
Co 0.7491 0.7491 0.7546  6 O 1.92-2.09
Co 0.8757 0.8757 0.3748  6 O 1.94-2.07
O 0.0336 0.0336 0.6514  3 Co 1.94-2.06, 3 Li 2.10-2.16
O 0.0982 0.0982 0.9923  2 Co 1.92, 2 Li 2.02-2.03
O 0.1561 0.1561 0.2613  3 Co 1.98-1.99, 1 Li 2.10
O 0.2159 0.2159 0.5984  3 Co 1.96-2.09, 3 Li 2.10
O 0.2847 0.2847 0.8983  3 Co 1.99-2.02, 3 Li 2.11-2.15
O 0.3409 0.3409 0.2219  3 Co 1.92-2.07, 2 Li 2.13
O 0.4100 0.4100 0.5223  3 Co 1.91-2.04, 1 Li 2.14
O 0.4608 0.4608 0.8430  1 Co 1.80
O 0.5392 0.5392 0.1570  1 Co 1.80
O 0.5900 0.5900 0.4777  3 Co 1.91-2.04, 1 Li 2.14
O 0.6591 0.6591 0.7781  3 Co 1.92-2.07, 2 Li 2.13
O 0.7153 0.7153 0.1017  3 Co 1.99-2.02, 3 Li 2.11-2.15
O 0.7841 0.7841 0.4016  3 Co 1.96-2.09, 3 Li 2.10
O 0.8439 0.8439 0.7387  3 Co 1.98-1.99, 1 Li 2.10
O 0.9018 0.9018 0.0077  2 Co 1.92, 2 Li 2.02-2.03
O 0.9664 0.9664 0.3486  3 Co 1.94-2.06, 3 Li 2.10-2.16

Calculated values
SG: No. 12
Crystal system: monoclinic



Most stable one: *P*, least stable one: *Q*.



*P*
Here is a relaxed structure of Li5MnO4 from the Materials Project. Energies are from GGA+U.

a = 12.8042 Å, b = 12.8042 Å, c = 4.7017 Å
α = 90.00°, β = 90.00°, γ = 90.00°
Last column: nearest neighbours and their distance in Å.
Sites, in units of the cell vectors:
Li 0.0140 0.5140 0.2500  4 O 1.90-2.10
Li 0.0140 0.9860 0.2500  4 O 1.90-2.10
Li 0.1098 0.1432 0.1935  4 O 1.93-2.06
Li 0.1098 0.3568 0.1935  4 O 1.93-2.06
Li 0.1219 0.6219 0.7500  4 O 1.99-2.01
Li 0.1219 0.8781 0.7500  4 O 1.99-2.01
Li 0.1432 0.1098 0.6935  4 O 1.93-2.06
Li 0.1432 0.3902 0.6935  4 O 1.93-2.06
Li 0.2500 0.2500 0.1420  4 O 1.92-1.99
Li 0.2500 0.2500 0.6420  4 O 1.92-1.99
Li 0.2500 0.7500 0.2500  4 O 1.98
Li 0.2500 0.7500 0.7500  4 O 1.97
Li 0.3568 0.1098 0.6935  4 O 1.93-2.06
Li 0.3568 0.3902 0.6935  4 O 1.93-2.06
Li 0.3781 0.6219 0.7500  4 O 1.99-2.01
Li 0.3781 0.8781 0.7500  4 O 1.99-2.01
Li 0.3902 0.1432 0.1935  4 O 1.93-2.06
Li 0.3902 0.3568 0.1935  4 O 1.93-2.06
Li 0.4860 0.5140 0.2500  4 O 1.90-2.10
Li 0.4860 0.9860 0.2500  4 O 1.90-2.10
Li 0.5140 0.0140 0.7500  4 O 1.90-2.10
Li 0.5140 0.4860 0.7500  4 O 1.90-2.10
Li 0.6098 0.6432 0.8065  4 O 1.93-2.06
Li 0.6098 0.8568 0.8065  4 O 1.93-2.06
Li 0.6219 0.1219 0.2500  4 O 1.99-2.01
Li 0.6219 0.3781 0.2500  4 O 1.99-2.01
Li 0.6432 0.6098 0.3065  4 O 1.93-2.06
Li 0.6432 0.8902 0.3065  4 O 1.93-2.06
Li 0.7500 0.2500 0.2500  4 O 1.97
Li 0.7500 0.2500 0.7500  4 O 1.98
Li 0.7500 0.7500 0.3580  4 O 1.92-1.99
Li 0.7500 0.7500 0.8580  4 O 1.92-1.99
Li 0.8568 0.6098 0.3065  4 O 1.93-2.06
Li 0.8568 0.8902 0.3065  4 O 1.93-2.06
Li 0.8781 0.1219 0.2500  4 O 1.99-2.01
Li 0.8781 0.3781 0.2500  4 O 1.99-2.01
Li 0.8902 0.6432 0.8065  4 O 1.93-2.06
Li 0.8902 0.8568 0.8065  4 O 1.93-2.06
Li 0.9860 0.0140 0.7500  4 O 1.90-2.10
Li 0.9860 0.4860 0.7500  4 O 1.90-2.10
Mn 0.0212 0.7500 0.2874  4 O 1.91-2.12
Mn 0.2500 0.5212 0.2126  4 O 1.91-2.12
Mn 0.2500 0.9788 0.2126  4 O 1.91-2.12
Mn 0.4788 0.7500 0.2874  4 O 1.91-2.12
Mn 0.5212 0.2500 0.7126  4 O 1.91-2.12
Mn 0.7500 0.0212 0.7874  4 O 1.91-2.12
Mn 0.7500 0.4788 0.7874  4 O 1.91-2.12
Mn 0.9788 0.2500 0.7126  4 O 1.91-2.12
O 0.0062 0.1250 0.4878  5 Li 1.90-2.10, 1 Mn 1.95
O 0.0062 0.3750 0.4878  5 Li 1.90-2.10, 1 Mn 1.95
O 0.1250 0.0062 0.9878  5 Li 1.90-2.10, 1 Mn 1.95
O 0.1250 0.4938 0.9878  5 Li 1.90-2.10, 1 Mn 1.95
O 0.1262 0.7500 0.9983  1 Mn 1.91, 4 Li 1.97-2.01
O 0.1284 0.2500 0.9045  6 Li 1.92-2.06, 1 Mn 2.12
O 0.2500 0.1284 0.4045  6 Li 1.92-2.06, 1 Mn 2.12
O 0.2500 0.3716 0.4045  6 Li 1.92-2.06, 1 Mn 2.12
O 0.2500 0.6262 0.5017  1 Mn 1.91, 4 Li 1.97-2.01
O 0.2500 0.8738 0.5017  1 Mn 1.91, 4 Li 1.97-2.01
O 0.3716 0.2500 0.9045  6 Li 1.92-2.06, 1 Mn 2.12
O 0.3738 0.7500 0.9983  1 Mn 1.91, 4 Li 1.97-2.01
O 0.3750 0.0062 0.9878  5 Li 1.90-2.10, 1 Mn 1.95
O 0.3750 0.4938 0.9878  5 Li 1.90-2.10, 1 Mn 1.95
O 0.4938 0.1250 0.4878  5 Li 1.90-2.10, 1 Mn 1.95
O 0.4938 0.3750 0.4878  5 Li 1.90-2.10, 1 Mn 1.95
O 0.5062 0.6250 0.5122  5 Li 1.90-2.10, 1 Mn 1.95
O 0.5062 0.8750 0.5122  5 Li 1.90-2.10, 1 Mn 1.95
O 0.6250 0.5062 0.0122  5 Li 1.90-2.10, 1 Mn 1.95
O 0.6250 0.9938 0.0122  5 Li 1.90-2.10, 1 Mn 1.95
O 0.6262 0.2500 0.0017  1 Mn 1.91, 4 Li 1.97-2.01
O 0.6284 0.7500 0.0955  6 Li 1.92-2.06, 1 Mn 2.12
O 0.7500 0.1262 0.4983  1 Mn 1.91, 4 Li 1.97-2.01
O 0.7500 0.3738 0.4983  1 Mn 1.91, 4 Li 1.97-2.01
O 0.7500 0.6284 0.5955  6 Li 1.92-2.06, 1 Mn 2.12
O 0.7500 0.8716 0.5955  6 Li 1.92-2.06, 1 Mn 2.12
O 0.8716 0.7500 0.0955  6 Li 1.92-2.06, 1 Mn 2.12
O 0.8738 0.2500 0.0017  1 Mn 1.91, 4 Li 1.97-2.01
O 0.8750 0.5062 0.0122  5 Li 1.90-2.10, 1 Mn 1.95
O 0.8750 0.9938 0.0122  5 Li 1.90-2.10, 1 Mn 1.95
O 0.9938 0.6250 0.5122  5 Li 1.90-2.10, 1 Mn 1.95
O 0.9938 0.8750 0.5122  5 Li 1.90-2.10, 1 Mn 1.95

Calculated values
SG: No. 137
Crystal system: tetragonal



*Q*
Here is a relaxed structure of Li5MnO4 from the Materials Project. Energies are from GGA+U.

a = 5.3601 Å, b = 15.3561 Å, c = 9.9262 Å
α = 90.00°, β = 90.00°, γ = 90.00°
Last column: nearest neighbours and their distance in Å.
Sites, in units of the cell vectors:
Li 0.0625 0.1560 0.1731  4 O 1.90-2.03
Li 0.0625 0.3440 0.6731  4 O 1.90-2.03
Li 0.0768 0.0693 0.9582  4 O 1.89-2.08
Li 0.0768 0.4307 0.4582  4 O 1.89-2.08
Li 0.0999 0.7427 0.6227  3 O 1.97-2.01
Li 0.0999 0.7573 0.1227  3 O 1.97-2.01
Li 0.1063 0.6740 0.8369  3 O 1.95-2.15
Li 0.1063 0.8260 0.3369  3 O 1.95-2.15
Li 0.2075 0.5065 0.7107  3 O 1.93-1.99
Li 0.2075 0.9935 0.2107  3 O 1.93-1.99
Li 0.2925 0.0065 0.7107  3 O 1.93-1.99
Li 0.2925 0.4935 0.2107  3 O 1.93-1.99
Li 0.3937 0.1740 0.8369  3 O 1.95-2.15
Li 0.3937 0.3260 0.3369  3 O 1.95-2.15
Li 0.4001 0.2427 0.6227  3 O 1.97-2.01
Li 0.4001 0.2573 0.1227  3 O 1.97-2.01
Li 0.4232 0.5693 0.9582  4 O 1.89-2.08
Li 0.4232 0.9307 0.4582  4 O 1.89-2.08
Li 0.4375 0.6560 0.1731  4 O 1.90-2.03
Li 0.4375 0.8440 0.6731  4 O 1.90-2.03
Li 0.5625 0.1560 0.3269  4 O 1.90-2.03
Li 0.5625 0.3440 0.8269  4 O 1.90-2.03
Li 0.5768 0.0693 0.5418  4 O 1.89-2.08
Li 0.5768 0.4307 0.0418  4 O 1.89-2.08
Li 0.5999 0.7427 0.8773  3 O 1.97-2.01
Li 0.5999 0.7573 0.3773  3 O 1.97-2.01
Li 0.6063 0.6740 0.6631  3 O 1.95-2.15
Li 0.6063 0.8260 0.1631  3 O 1.95-2.15
Li 0.7075 0.5065 0.7893  3 O 1.93-1.99
Li 0.7075 0.9935 0.2893  3 O 1.93-1.99
Li 0.7925 0.0065 0.7893  3 O 1.93-1.99
Li 0.7925 0.4935 0.2893  3 O 1.93-1.99
Li 0.8937 0.1740 0.6631  3 O 1.95-2.15
Li 0.8937 0.3260 0.1631  3 O 1.95-2.15
Li 0.9001 0.2427 0.8773  3 O 1.97-2.01
Li 0.9001 0.2573 0.3773  3 O 1.97-2.01
Li 0.9232 0.5693 0.5418  4 O 1.89-2.08
Li 0.9232 0.9307 0.0418  4 O 1.89-2.08
Li 0.9375 0.6560 0.3269  4 O 1.90-2.03
Li 0.9375 0.8440 0.8269  4 O 1.90-2.03
Mn 0.1500 0.1201 0.4440  4 O 1.87-1.97
Mn 0.1500 0.3799 0.9440  4 O 1.87-1.97
Mn 0.3500 0.6201 0.4440  4 O 1.87-1.97
Mn 0.3500 0.8799 0.9440  4 O 1.87-1.97
Mn 0.6500 0.1201 0.0560  4 O 1.87-1.97
Mn 0.6500 0.3799 0.5560  4 O 1.87-1.97
Mn 0.8500 0.6201 0.0560  4 O 1.87-1.97
Mn 0.8500 0.8799 0.5560  4 O 1.87-1.97
O 0.1078 0.5408 0.3655  5 Li 1.93-2.06, 1 Mn 1.94
O 0.1078 0.9592 0.8655  5 Li 1.93-2.06, 1 Mn 1.94
O 0.1844 0.6491 0.0251  1 Mn 1.87, 4 Li 1.89-2.00
O 0.1844 0.8509 0.5251  1 Mn 1.87, 4 Li 1.89-2.00
O 0.2254 0.2120 0.3188  4 Li 1.90-2.00, 1 Mn 1.92
O 0.2254 0.2880 0.8188  4 Li 1.90-2.00, 1 Mn 1.92
O 0.2387 0.6212 0.6330  4 Li 1.93-2.15, 1 Mn 1.97
O 0.2387 0.8788 0.1330  4 Li 1.93-2.15, 1 Mn 1.97
O 0.2613 0.1212 0.6330  4 Li 1.93-2.15, 1 Mn 1.97
O 0.2613 0.3788 0.1330  4 Li 1.93-2.15, 1 Mn 1.97
O 0.2746 0.7120 0.3188  4 Li 1.90-2.00, 1 Mn 1.92
O 0.2746 0.7880 0.8188  4 Li 1.90-2.00, 1 Mn 1.92
O 0.3156 0.1491 0.0251  1 Mn 1.87, 4 Li 1.89-2.00
O 0.3156 0.3509 0.5251  1 Mn 1.87, 4 Li 1.89-2.00
O 0.3922 0.0408 0.3655  5 Li 1.93-2.06, 1 Mn 1.94
O 0.3922 0.4592 0.8655  5 Li 1.93-2.06, 1 Mn 1.94
O 0.6078 0.5408 0.1345  5 Li 1.93-2.06, 1 Mn 1.94
O 0.6078 0.9592 0.6345  5 Li 1.93-2.06, 1 Mn 1.94
O 0.6844 0.6491 0.4749  1 Mn 1.87, 4 Li 1.89-2.00
O 0.6844 0.8509 0.9749  1 Mn 1.87, 4 Li 1.89-2.00
O 0.7254 0.2120 0.1812  4 Li 1.90-2.00, 1 Mn 1.92
O 0.7254 0.2880 0.6812  4 Li 1.90-2.00, 1 Mn 1.92
O 0.7387 0.6212 0.8670  4 Li 1.93-2.15, 1 Mn 1.97
O 0.7387 0.8788 0.3670  4 Li 1.93-2.15, 1 Mn 1.97
O 0.7613 0.1212 0.8670  4 Li 1.93-2.15, 1 Mn 1.97
O 0.7613 0.3788 0.3670  4 Li 1.93-2.15, 1 Mn 1.97
O 0.7746 0.7120 0.1812  4 Li 1.90-2.00, 1 Mn 1.92
O 0.7746 0.7880 0.6812  4 Li 1.90-2.00, 1 Mn 1.92
O 0.8156 0.1491 0.4749  1 Mn 1.87, 4 Li 1.89-2.00
O 0.8156 0.3509 0.9749  1 Mn 1.87, 4 Li 1.89-2.00
O 0.8922 0.0408 0.1345  5 Li 1.93-2.06, 1 Mn 1.94
O 0.8922 0.4592 0.6345  5 Li 1.93-2.06, 1 Mn 1.94

Calculated values
SG: No. 61
Crystal system: orthorhombic



Most stable one: *Q*, least stable one: *P*.